Material: Ho2WO6
Method: DFT, r²SCAN
State: optimized geometry

Cell: 5.313 7.591 11.316 Å, 75.44 90.00 90.00°
Sites, in units of the cell vectors:
Ho 0.812 0.798 0.078
Ho 0.737 0.000 0.750
Ho 0.188 0.798 0.578
Ho 0.263 0.000 0.250
Ho 0.188 0.202 0.922
Ho 0.683 0.500 0.750
Ho 0.812 0.202 0.422
Ho 0.317 0.500 0.250
W 0.746 0.279 0.113
W 0.254 0.279 0.613
W 0.254 0.721 0.887
W 0.746 0.721 0.387
O 0.984 0.710 0.771
O 0.962 0.062 0.104
O 0.525 0.148 0.570
O 0.016 0.710 0.271
O 0.962 0.938 0.396
O 0.849 0.634 0.549
O 0.463 0.787 0.728
O 0.463 0.213 0.772
O 0.537 0.787 0.228
O 0.849 0.366 0.951
O 0.359 0.511 0.612
O 0.038 0.062 0.604
O 0.151 0.366 0.451
O 0.537 0.213 0.272
O 0.525 0.852 0.930
O 0.475 0.148 0.070
O 0.984 0.290 0.729
O 0.475 0.852 0.430
O 0.016 0.290 0.229
O 0.359 0.489 0.888
O 0.038 0.938 0.896
O 0.641 0.511 0.112
O 0.151 0.634 0.049
O 0.641 0.489 0.388

* spin magnetization: 0.00 μB/f.u.
* crystal system: monoclinic
* raw total energy: -20.346 eV per atom
* calculated density: 9.17 Mg/m³
* polymorph energy (0 for the lowest one): 0 meV per atom
* formation energy from the elements: -3.35 eV per atom


Material: NdAsO4
Method: DFT, r²SCAN
State: optimized geometry

Cell: 6.846 6.846 6.846 Å, 136.03 136.03 63.93°
Sites, in units of the cell vectors:
O 0.668 0.285 0.109
O 0.176 0.559 0.891
O 0.715 0.824 0.383
O 0.035 0.426 0.117
O 0.441 0.332 0.617
O 0.082 0.965 0.391
O 0.309 0.918 0.883
O 0.574 0.691 0.609
Nd 0.750 0.250 0.500
Nd 0.000 0.000 0.000
As 0.250 0.750 0.500
As 0.500 0.500 0.000

* spin magnetization: 0.00 μB/f.u.
* crystal system: tetragonal
* raw total energy: -13.927 eV per atom
* calculated density: 6.16 Mg/m³
* polymorph energy (0 for the lowest one): 0 meV per atom
* formation energy from the elements: -2.59 eV per atom